[1]
A geometry-optimized Li7Nd3Zr2O12 structure, computed with PBE-GGA.

Summary:
Its total energy is -7.084 eV per atom. For the energy of formation, the calculation gives -3088.1 meV/atom. The calculation puts the total magnetic moment at 0.0 Bohr magnetons per cell.

Geometry as extended XYZ:
```
96
Lattice="-6.5254 6.5254 6.3073 6.5254 -6.5254 6.3073 6.5254 6.5254 -6.3073" Properties=species:S:1:pos:R:3 pbc="T T T"
Li 8.9102 -0.8779 1.5768
Li 7.5588 5.3700 -3.8438
Li 2.1073 2.2293 -0.6902
Li 6.5254 -3.2627 4.7305
Li 2.3848 0.8779 1.5768
Li 7.5588 -1.1554 3.8438
Li 4.4182 2.2293 0.6902
Li 4.4182 -2.2293 5.6171
Li 7.5588 1.1554 2.4635
Li 2.3848 -0.8779 4.7305
Li 6.5254 3.2627 1.5768
Li 8.6327 4.2961 0.6902
Li 1.0334 1.1554 3.8438
Li 2.3848 7.4034 -1.5768
Li 4.1407 -0.8779 7.8841
Li 5.4920 5.3700 2.4635
Li -2.1073 2.2293 5.6171
Li 0.0000 3.2627 4.7305
Li 4.1407 7.4034 1.5768
Li -1.0334 5.3700 3.8438
Li 2.1073 8.7548 0.6902
Li 2.1073 4.2961 5.6171
Li -1.0334 7.6809 2.4635
Li 4.1407 5.6475 4.7305
Li 0.0000 9.7882 1.5768
Li 4.4182 4.2961 6.9975
Li -1.0334 1.1554 10.1511
Li -2.3848 7.4034 4.7305
Nd 9.7882 1.5992 0.0000
Nd 6.5254 3.2627 -1.5768
Nd 4.8619 6.5254 -3.1537
Nd 4.8619 0.0000 3.1537
Nd 0.0000 3.2627 1.5768
Nd 3.2627 4.9263 0.0000
Nd 3.2627 1.5992 6.3073
Nd 6.5254 3.2627 4.7305
Nd 1.6636 6.5254 3.1537
Nd 1.6636 0.0000 9.4610
Nd 0.0000 3.2627 7.8841
Nd -3.2627 4.9263 6.3073
Zr 0.0000 0.0000 0.0000
Zr 3.2627 3.2627 -3.1537
Zr 3.2627 -3.2627 3.1537
Zr 6.5254 0.0000 0.0000
Zr -3.2627 3.2627 3.1537
Zr 0.0000 6.5254 0.0000
Zr 0.0000 0.0000 6.3073
Zr 3.2627 3.2627 3.1537
O 5.2117 4.0054 -3.5749
O 11.0651 -0.3533 0.6969
O 4.5396 0.3533 0.6969
O 5.2117 -2.5200 3.5749
O 2.9094 -1.2769 2.4568
O 6.9691 -0.7359 1.9466
O 5.7828 -4.5765 5.8861
O 3.9986 2.8190 -1.2071
O 7.2681 1.9490 0.4212
O 9.0523 3.7064 -1.2071
O 2.9094 5.2485 -2.4568
O 0.4437 0.7359 1.9466
O 6.9691 5.7896 -1.9466
O 9.4349 1.2769 2.4568
O 2.5268 2.8190 1.2071
O 0.7427 4.5765 -0.4212
O 3.9986 -2.8190 7.5144
O 5.7828 4.5765 0.4212
O 6.9691 0.7359 4.3607
O 2.9094 1.2769 3.8505
O 5.2117 2.5200 2.7324
O 4.5396 -0.3533 5.6104
O 4.5396 6.8787 -0.6969
O -1.3137 2.5200 3.5749
O 7.8392 4.0054 2.7324
O 1.9858 -0.3533 7.0042
O 1.9858 6.8787 0.6969
O 1.3137 4.0054 3.5749
O 3.6160 5.2485 2.4568
O -0.4437 5.7896 1.9466
O 0.7427 1.9490 5.8861
O 2.5268 9.3445 -1.2071
O 5.7828 1.9490 6.7285
O 3.9986 3.7064 5.1002
O -2.9094 5.2485 3.8505
O -0.4437 0.7359 8.2539
O 6.0818 5.7896 4.3607
O 3.6160 1.2769 8.7641
O -2.5268 2.8190 7.5144
O -0.7427 4.5765 5.8861
O 2.5268 3.7064 7.5144
O 0.7427 11.1019 0.4212
O -0.4437 7.2613 4.3607
O 3.6160 7.8024 3.8505
O 1.3137 9.0455 2.7324
O 1.9858 6.1722 5.6104
O -4.5396 6.8787 5.6104
O 1.3137 2.5200 9.8822
```


[2]
A geometry-optimized U3H2O10 structure, computed with PBE-GGA.

Summary:
Its total energy is -8.591 eV per atom. For the energy of formation, the calculation gives -3039.7 meV/atom. The calculation puts the total magnetic moment at 0.0 Bohr magnetons per cell.

Geometry as extended XYZ:
```
15
Lattice="5.6477 0.0000 0.0000 1.6908 5.6373 0.0000 2.1557 1.3743 6.6583" Properties=species:S:1:pos:R:3 pbc="T T T"
U 0.0000 0.0000 0.0000
U 4.1072 3.5071 1.7221
U 5.3870 3.5045 4.9362
H 1.9407 1.8123 2.7715
H 7.5535 5.1992 3.8868
O 2.6327 5.5492 1.6392
O 2.4962 2.4770 2.3165
O 3.9282 2.4515 5.7157
O 4.9599 5.1679 6.3796
O 4.2023 4.5599 3.6248
O 5.2919 2.4517 3.0335
O 4.5343 1.8437 0.2787
O 5.5660 4.5601 0.9426
O 6.9980 4.5346 4.3418
O 6.8615 1.4623 5.0191
```


[3]
A geometry-optimized YAlPd structure, computed with PBE-GGA.

Summary:
Its total energy is -6.014 eV per atom. For the energy of formation, the calculation gives -883.6 meV/atom.

Geometry as extended XYZ:
```
12
Lattice="6.8986 0.0000 0.0000 0.0000 4.4868 0.0000 0.0000 0.0000 7.7970" Properties=species:S:1:pos:R:3 pbc="T T T"
Y 0.2283 1.1217 1.4011
Y 3.2210 3.3651 5.2996
Y 3.6776 1.1217 2.4974
Y 6.6703 3.3651 6.3958
Al 1.0044 1.1217 4.3703
Al 2.4449 3.3651 0.4718
Al 4.4537 1.1217 7.3252
Al 5.8941 3.3651 3.4267
Pd 1.5606 3.3651 2.9636
Pd 1.8887 1.1217 6.8620
Pd 5.0099 3.3651 0.9349
Pd 5.3380 1.1217 4.8334
```


[4]
A geometry-optimized GaSiC4N structure, computed with PBE-GGA.

Summary:
Its total energy is -6.919 eV per atom. For the energy of formation, the calculation gives 701.6 meV/atom. The calculation puts the total magnetic moment at 0.0 Bohr magnetons per cell.

Geometry as extended XYZ:
```
56
Lattice="8.3556 -5.2613 0.0000 8.3556 5.2613 0.0000 -3.7870 0.0000 13.2199" Properties=species:S:1:pos:R:3 pbc="T T T"
Ga 5.7480 4.8877 8.4458
Ga 5.8534 3.7493 2.7859
Ga 5.2829 4.8877 11.3840
Ga 8.9644 3.7493 3.8240
Ga 3.9599 -3.7493 9.3959
Ga 7.6414 -4.8877 1.8359
Ga 7.0709 -3.7493 10.4339
Ga 7.1764 -4.8877 4.7740
Si 3.5536 3.4719 9.0615
Si 6.4506 2.4815 5.4241
Si 8.3672 2.4815 1.1858
Si 7.4773 3.4719 10.7683
Si 5.4471 -3.4719 2.4516
Si 4.5571 -2.4815 12.0341
Si 6.4738 -2.4815 7.7957
Si 9.3707 -3.4719 4.1584
C 2.0205 2.6888 9.6373
C 3.8137 2.3568 4.1816
C 2.7123 1.7698 4.8387
C 5.1469 2.5807 4.1125
C 4.9805 3.0838 7.9885
C 5.6346 2.2261 7.1558
C 6.0503 3.0838 11.8414
C 5.3963 2.2261 12.6740
C 9.6710 2.5807 2.4974
C 6.0028 0.8406 7.0042
C 0.8188 -1.7698 11.4486
C 7.9475 0.6981 0.6850
C 5.0280 0.8406 12.8256
C 6.8703 0.6981 5.9249
C 9.0103 2.6888 10.1925
C 11.0041 2.3568 2.4283
C 1.9202 -2.3568 10.7916
C 3.9140 -2.6888 3.0274
C 6.0540 -0.6981 7.2950
C 7.8963 -0.8406 0.3943
C 4.9769 -0.6981 12.5349
C 12.1055 1.7698 1.7713
C 6.9215 -0.8406 6.2156
C 3.2534 -2.5807 10.7225
C 7.5280 -2.2261 0.5459
C 6.8740 -3.0838 1.3785
C 7.2898 -2.2261 6.0641
C 7.9438 -3.0838 5.2314
C 7.7775 -2.5807 9.1074
C 10.2120 -1.7698 8.3812
C 9.1107 -2.3568 9.0383
C 10.9038 -2.6888 3.5826
N 0.5265 0.3723 3.3451
N 7.2450 3.7532 1.5158
N -1.3670 -0.3723 9.9550
N 7.5729 3.7532 5.0942
N 5.3515 -3.7532 8.1257
N 14.2913 0.3723 3.2649
N 5.6794 -3.7532 11.7041
N 12.3978 -0.3723 9.8748
```


[5]
A geometry-optimized LiCr2S4 structure, computed with PBE-GGA.

Summary:
Its total energy is -6.201 eV per atom. For the energy of formation, the calculation gives -1093.7 meV/atom.

Geometry as extended XYZ:
```
14
Lattice="-3.4300 -5.9387 0.0003 -5.1141 2.9515 0.0376 0.0214 -0.0121 -6.1345" Properties=species:S:1:pos:R:3 pbc="T T T"
Li -5.0928 2.9392 -6.0968
Li -6.8076 -0.0298 -6.0967
Cr -3.4037 -0.0150 -3.0485
Cr -5.1184 -2.9841 -3.0483
Cr -3.4199 -5.9440 -3.0670
Cr -1.7040 -2.9744 -3.0677
S -1.6845 0.9708 -1.7351
S -3.4009 -1.9955 -1.7339
S -5.1094 0.9705 -1.6871
S -6.8275 -2.0000 -1.6858
S -1.6971 -0.9984 -4.4093
S -3.4114 -3.9712 -4.4104
S -5.1209 -1.0025 -4.3627
S -3.4092 1.9665 -4.3617
```


[6]
A geometry-optimized Zn2AsO5 structure, computed with PBE-GGA.

Summary:
Its total energy is -5.160 eV per atom. For the energy of formation, the calculation gives -1599.2 meV/atom. The calculation puts the total magnetic moment at 4.0 Bohr magnetons per cell.

Geometry as extended XYZ:
```
32
Lattice="8.4800 0.0000 0.0000 0.0000 8.6234 0.0000 0.0000 0.0000 6.0710" Properties=species:S:1:pos:R:3 pbc="T T T"
Zn 0.0000 0.0000 1.4900
Zn 0.0000 0.0000 4.5810
Zn 1.2198 3.2223 3.0355
Zn 3.0203 7.5340 0.0000
Zn 4.2400 4.3117 1.5455
Zn 4.2400 4.3117 4.5255
Zn 5.4598 1.0894 0.0000
Zn 7.2603 5.4011 3.0355
As 2.0471 6.4584 3.0355
As 2.1929 2.1467 0.0000
As 6.2871 6.4767 0.0000
As 6.4329 2.1650 3.0355
O 0.8322 5.2264 3.0355
O 1.1015 7.9662 0.0000
O 1.1532 7.9600 3.0355
O 1.2107 2.0308 1.4069
O 1.2107 2.0308 4.6641
O 3.0293 6.3424 1.6286
O 3.0293 6.3424 4.4424
O 3.0868 3.6484 0.0000
O 3.1385 3.6545 3.0355
O 3.4078 0.9147 0.0000
O 5.0722 7.7087 0.0000
O 5.3415 4.9688 3.0355
O 5.3933 4.9750 0.0000
O 5.4507 2.2809 1.6286
O 5.4507 2.2809 4.4424
O 7.2693 6.5926 1.4069
O 7.2693 6.5926 4.6641
O 7.3268 0.6633 3.0355
O 7.3785 0.6571 0.0000
O 7.6478 3.3970 3.0355
```


[7]
A geometry-optimized K2HgPdF6 structure, computed with PBE-GGA.

Summary:
Its total energy is -3.775 eV per atom. For the energy of formation, the calculation gives -2133.0 meV/atom. The calculation puts the total magnetic moment at 1.8 Bohr magnetons per cell.

Geometry as extended XYZ:
```
10
Lattice="0.0000 4.4746 4.4746 4.4746 0.0000 4.4746 4.4746 4.4746 0.0000" Properties=species:S:1:pos:R:3 pbc="T T T"
K 2.2373 2.2373 2.2373
K 6.7118 6.7118 6.7118
Hg 0.0000 0.0000 0.0000
Pd 4.4746 4.4746 4.4746
F 4.4746 4.4746 2.3041
F 4.4746 2.3041 4.4746
F 6.6450 4.4746 4.4746
F 2.3041 4.4746 4.4746
F 4.4746 6.6450 4.4746
F 4.4746 4.4746 6.6450
```


[8]
A geometry-optimized HoPd2 structure, computed with PBE-GGA.

Summary:
Its total energy is -5.614 eV per atom. For the energy of formation, the calculation gives -632.9 meV/atom. The calculation puts the total magnetic moment at 0.0 Bohr magnetons per cell.

Geometry as extended XYZ:
```
3
Lattice="-1.9761 1.9761 4.2003 1.9761 -1.9761 4.2003 1.9761 1.9761 -4.2003" Properties=species:S:1:pos:R:3 pbc="T T T"
Ho 0.0000 0.0000 0.0000
Pd 1.9761 0.0000 2.1002
Pd 0.0000 1.9761 2.1002
```


Q: What is the formula in the second record?
A: U3H2O10